(1)
The following is a GGA-PBE calculation of a relaxed Ta2O5 crystal, from the Materials Project.

Magnetic moment = 0.000 μB per atom

Cell lengths 11.740, 12.541, 12.036 Å; angles 89.75, 90.10, 93.89 degrees
Element x y z (fractional)
O 0.207 0.750 0.552
O 0.061 0.027 0.910
O 0.447 0.515 0.281
O 0.127 0.410 0.876
O 0.402 0.217 0.803
O 0.813 0.120 0.347
O 0.590 0.683 0.269
O 0.565 0.849 0.638
O 0.098 0.614 0.061
O 0.633 0.174 0.456
O 0.851 0.952 0.015
O 0.449 0.371 0.095
O 0.752 0.389 0.987
O 0.935 0.746 0.945
O 0.373 0.750 0.723
O 0.776 0.374 0.382
O 0.334 0.120 0.340
O 0.099 0.221 0.145
O 0.010 0.766 0.410
O 0.230 0.796 0.020
O 0.976 0.642 0.692
O 0.655 0.803 0.095
O 0.786 0.142 0.039
O 0.032 0.889 0.717
O 0.056 0.797 0.189
O 0.362 0.576 0.589
O 0.432 0.805 0.946
O 0.847 0.090 0.807
O 0.968 0.401 0.693
O 0.002 0.005 0.439
O 0.310 0.375 0.698
O 0.572 0.241 0.973
O 0.003 0.437 0.285
O 0.051 0.564 0.492
O 0.683 0.439 0.798
O 0.833 0.766 0.520
O 0.860 0.219 0.551
O 0.434 0.432 0.865
O 0.274 0.255 0.979
O 0.501 0.993 0.375
O 0.849 0.589 0.353
O 0.650 0.681 0.600
O 0.260 0.333 0.315
O 0.425 0.197 0.560
O 0.677 0.604 0.007
O 0.388 0.677 0.147
O 0.816 0.833 0.737
O 0.810 0.547 0.573
O 0.719 0.953 0.497
O 0.682 0.984 0.237
O 0.469 0.717 0.458
O 0.929 0.528 0.892
O 0.911 0.943 0.244
O 0.195 0.113 0.699
O 0.865 0.573 0.133
O 0.376 0.820 0.285
O 0.516 0.572 0.711
O 0.185 0.542 0.688
O 0.194 0.942 0.318
O 0.261 0.916 0.819
O 0.765 0.625 0.782
O 0.654 0.387 0.593
O 0.996 0.229 0.949
O 0.232 0.264 0.526
O 0.615 0.267 0.197
O 0.036 0.235 0.362
O 0.123 0.735 0.825
O 0.276 0.613 0.377
O 0.830 0.758 0.188
O 0.668 0.491 0.210
O 0.147 0.416 0.113
O 0.305 0.604 0.869
O 0.378 0.972 0.137
O 0.834 0.332 0.167
O 0.485 0.327 0.369
Ta 0.729 0.293 0.503
Ta 0.915 0.638 0.484
Ta 0.908 0.091 0.940
Ta 0.709 0.264 0.069
Ta 0.484 0.709 0.613
Ta 0.351 0.517 0.748
Ta 0.419 0.661 0.307
Ta 0.041 0.498 0.774
Ta 0.349 0.247 0.418
Ta 0.768 0.522 0.910
Ta 0.528 0.398 0.227
Ta 0.355 0.969 0.292
Ta 0.683 0.534 0.672
Ta 0.432 0.302 0.938
Ta 0.781 0.903 0.147
Ta 0.370 0.816 0.087
Ta 0.037 0.885 0.321
Ta 0.314 0.226 0.666
Ta 0.985 0.692 0.089
Ta 0.726 0.831 0.608
Ta 0.137 0.990 0.782
Ta 0.284 0.757 0.858
Ta 0.209 0.613 0.525
Ta 0.115 0.332 0.248
Ta 0.130 0.310 0.999
Ta 0.960 0.758 0.786
Ta 0.849 0.456 0.251
Ta 0.658 0.037 0.385
Ta 0.695 0.664 0.155
Ta 0.939 0.139 0.436

---

(2)
The following is a GGA-PBE calculation of a relaxed Ta2O5 crystal, from the Materials Project.

Magnetic moment = 0.000 μB per atom

Cell lengths 3.875, 6.227, 7.425 Å; angles 90.00, 90.00, 90.00 degrees
Element x y z (fractional)
O 0.000 0.880 0.750
O 0.000 0.694 0.066
O 0.500 0.570 0.750
O 0.000 0.319 0.937
O 0.000 0.128 0.250
O 0.000 0.320 0.561
O 0.500 0.009 0.999
O 0.500 0.441 0.249
O 0.000 0.695 0.432
O 0.500 0.009 0.501
Ta 0.000 0.534 0.750
Ta 0.000 0.002 0.000
Ta 0.000 0.003 0.499
Ta 0.000 0.471 0.250

---

(3)
The following is a GGA-PBE calculation of a relaxed Ta3O8 crystal, from the Materials Project.

Magnetic moment = 0.011 μB per atom

Cell lengths 3.923, 9.109, 17.024 Å; angles 90.00, 90.00, 90.00 degrees
Element x y z (fractional)
O 0.500 0.593 0.872
O 0.000 0.122 0.825
O 0.000 0.623 0.132
O 0.000 0.668 0.978
O 0.000 0.461 0.250
O 0.000 0.377 0.632
O 0.000 0.000 0.000
O 0.000 0.377 0.868
O 0.500 0.822 0.062
O 0.000 0.199 0.333
O 0.500 0.951 0.750
O 0.500 0.593 0.628
O 0.500 0.407 0.128
O 0.500 0.407 0.372
O 0.500 0.049 0.250
O 0.000 0.199 0.167
O 0.500 0.178 0.562
O 0.000 0.122 0.675
O 0.500 0.178 0.938
O 0.500 0.822 0.438
O 0.500 0.694 0.250
O 0.000 0.623 0.368
O 0.000 0.539 0.750
O 0.000 0.332 0.022
O 0.000 0.801 0.667
O 0.000 0.000 0.500
O 0.000 0.332 0.478
O 0.000 0.668 0.522
O 0.000 0.878 0.175
O 0.000 0.878 0.325
O 0.500 0.306 0.750
O 0.000 0.801 0.833
Ta 0.000 0.601 0.870
Ta 0.000 0.185 0.941
Ta 0.000 0.399 0.130
Ta 0.000 0.943 0.750
Ta 0.000 0.815 0.441
Ta 0.000 0.689 0.250
Ta 0.000 0.601 0.630
Ta 0.000 0.399 0.370
Ta 0.000 0.815 0.059
Ta 0.000 0.057 0.250
Ta 0.000 0.311 0.750
Ta 0.000 0.185 0.559

---

(4)
The following is a GGA-PBE calculation of a relaxed Ta2O5 crystal, from the Materials Project.

Cell lengths 6.928, 6.928, 5.599 Å; angles 77.71, 77.71, 41.68 degrees
Element x y z (fractional)
Ta 0.613 0.105 0.769
Ta 0.105 0.613 0.269
Ta 0.895 0.387 0.731
Ta 0.387 0.895 0.231
O 0.438 0.338 0.483
O 0.727 0.864 0.128
O 0.338 0.438 0.983
O 0.136 0.273 0.372
O 0.891 0.109 0.750
O 0.562 0.662 0.517
O 0.662 0.562 0.017
O 0.864 0.727 0.628
O 0.109 0.891 0.250
O 0.273 0.136 0.872

---

Calculated formation energy
In order: -3.166, -3.291, -3.157, -3.327
Unit: eV/atom
Energy with MP2020 corrections
In order: -10.0886, -10.2133, -9.9898, -10.2492
Unit: eV/atom